Below is an optimized crystal structure of Li2Mn3P4O14, with properties calculated at the PBE+U level.

The structure in CIF format:
```
data_Li2Mn3P4O14
_space_group_name_H-M_alt 'P 1'
_space_group_IT_number 1
_cell_length_a 7.999
_cell_length_b 7.471
_cell_length_c 9.838
_cell_angle_alpha 70.10
_cell_angle_beta 90.00
_cell_angle_gamma 90.00
loop_
_space_group_symop_operation_xyz
'x,y,z'
loop_
_atom_site_label
_atom_site_type_symbol
_atom_site_fract_x
_atom_site_fract_y
_atom_site_fract_z
O1 O 0.829 0.623 0.894
Mn1 Mn 0.378 0.198 0.479
O2 O 0.495 0.605 0.704
P1 P 0.950 0.601 0.779
O3 O 0.005 0.605 0.204
P2 P 0.205 0.884 0.805
P3 P 0.050 0.399 0.221
Li1 Li 0.580 0.709 0.853
Mn2 Mn 0.122 0.198 0.979
Li2 Li 0.080 0.291 0.647
P4 P 0.450 0.399 0.721
Li3 Li 0.920 0.709 0.353
O4 O 0.084 0.966 0.892
O5 O 0.869 0.317 0.192
O6 O 0.375 0.844 0.876
O7 O 0.609 0.721 0.125
Mn3 Mn 0.500 0.000 0.000
P5 P 0.295 0.884 0.305
Mn4 Mn 0.000 0.000 0.500
O8 O 0.891 0.721 0.625
O9 O 0.916 0.034 0.108
Mn5 Mn 0.878 0.802 0.021
O10 O 0.875 0.156 0.624
O11 O 0.329 0.377 0.606
O12 O 0.625 0.156 0.124
O13 O 0.704 0.989 0.856
O14 O 0.109 0.279 0.375
O15 O 0.204 0.011 0.644
O16 O 0.296 0.011 0.144
O17 O 0.505 0.395 0.296
P6 P 0.550 0.601 0.279
O18 O 0.416 0.966 0.392
O19 O 0.631 0.317 0.692
O20 O 0.796 0.989 0.356
O21 O 0.584 0.034 0.608
P7 P 0.705 0.116 0.695
O22 O 0.369 0.683 0.308
Li4 Li 0.420 0.291 0.147
Mn6 Mn 0.622 0.802 0.521
O23 O 0.671 0.623 0.394
O24 O 0.131 0.683 0.808
O25 O 0.125 0.844 0.376
O26 O 0.171 0.377 0.106
O27 O 0.391 0.279 0.875
P8 P 0.795 0.116 0.195
O28 O 0.995 0.395 0.796
```

Computed properties:
* energy of formation from the pure elements: -2.62 eV per atom